Below is RbMnCl3O2 after structural relaxation, with properties calculated at the PBE with a Hubbard U level.

Properties
DFT formation energy ... -88.01 kJ per mole of atoms
E ... -57.85 eV per cell
Offset from the most stable computed form ... 0.1823 eV/atom

Cell lengths 6.8334, 6.9519, 9.1208 Å; angles 95.59, 110.11, 110.49 degrees
Space group P-1 (No. 2)
Symmetry-distinct sites (fractional):
Rb  0.2287  0.0727  0.3084 (multiplicity 2)
Mn  0.4936  0.6641  0.1741 (multiplicity 2)
Cl  0.2841  0.5930  0.3269 (multiplicity 2)
Cl  0.2851  0.2987  0.0028 (multiplicity 2)
Cl  0.2862  0.9847  0.6895 (multiplicity 2)
O  0.2999  0.7410  0.0440 (multiplicity 2)
O  0.3112  0.4082  0.6951 (multiplicity 2)